Record 1
## TaSi2H36C12N4Cl (GGA-PBE)

Data for a relaxed structure of TaSi2H36C12N4Cl.

Lattice parameters (Å, degrees): 14.180 11.414 19.199 90.00 126.63 90.00
Atoms (fractional coordinates):
Ta 0.180 0.206 0.451
Ta 0.180 0.294 0.951
Ta 0.820 0.706 0.049
Ta 0.820 0.794 0.549
Si 0.242 0.019 0.020
Si 0.242 0.481 0.520
Si 0.434 0.199 0.130
Si 0.434 0.301 0.630
Si 0.566 0.699 0.370
Si 0.566 0.801 0.870
Si 0.758 0.519 0.480
Si 0.758 0.981 0.980
H 0.006 0.172 0.766
H 0.006 0.328 0.266
H 0.024 0.544 0.108
H 0.024 0.956 0.608
H 0.027 0.073 0.930
H 0.027 0.427 0.430
H 0.051 0.579 0.427
H 0.051 0.921 0.927
H 0.067 0.020 0.864
H 0.067 0.480 0.364
H 0.104 0.107 0.275
H 0.104 0.393 0.775
H 0.106 0.718 0.291
H 0.106 0.782 0.791
H 0.115 0.560 0.223
H 0.115 0.673 0.728
H 0.115 0.827 0.228
H 0.115 0.940 0.723
H 0.137 0.229 0.235
H 0.137 0.271 0.735
H 0.137 0.652 0.159
H 0.137 0.848 0.659
H 0.158 0.611 0.992
H 0.158 0.889 0.492
H 0.174 0.006 0.560
H 0.174 0.494 0.060
H 0.202 0.021 0.131
H 0.202 0.479 0.631
H 0.218 0.624 0.605
H 0.218 0.876 0.105
H 0.239 0.114 0.289
H 0.239 0.386 0.789
H 0.243 0.595 0.913
H 0.243 0.905 0.413
H 0.276 0.676 0.484
H 0.276 0.824 0.984
H 0.291 0.146 0.828
H 0.291 0.354 0.328
H 0.300 0.577 0.088
H 0.300 0.923 0.588
H 0.310 0.566 0.437
H 0.310 0.934 0.937
H 0.329 0.031 0.429
H 0.329 0.469 0.929
H 0.345 0.538 0.678
H 0.345 0.962 0.178
H 0.360 0.194 0.703
H 0.360 0.306 0.203
H 0.366 0.149 0.943
H 0.366 0.351 0.443
H 0.375 0.603 0.272
H 0.375 0.897 0.772
H 0.377 0.568 0.016
H 0.377 0.932 0.516
H 0.392 0.240 0.390
H 0.392 0.260 0.890
H 0.397 0.684 0.833
H 0.397 0.816 0.333
H 0.399 0.160 0.242
H 0.399 0.340 0.742
H 0.412 0.600 0.549
H 0.412 0.900 0.049
H 0.443 0.550 0.379
H 0.443 0.950 0.879
H 0.480 0.090 0.625
H 0.480 0.410 0.125
H 0.485 0.006 0.815
H 0.485 0.494 0.315
H 0.489 0.734 0.722
H 0.489 0.766 0.222
H 0.492 0.176 0.553
H 0.492 0.324 0.053
H 0.508 0.676 0.947
H 0.508 0.824 0.447
H 0.511 0.234 0.778
H 0.511 0.266 0.278
H 0.515 0.506 0.685
H 0.515 0.994 0.185
H 0.520 0.590 0.875
H 0.520 0.910 0.375
H 0.557 0.050 0.121
H 0.557 0.450 0.621
H 0.588 0.100 0.951
H 0.588 0.400 0.451
H 0.601 0.660 0.258
H 0.601 0.840 0.758
H 0.603 0.184 0.667
H 0.603 0.316 0.167
H 0.608 0.740 0.110
H 0.608 0.760 0.610
H 0.623 0.068 0.484
H 0.623 0.432 0.984
H 0.625 0.103 0.228
H 0.625 0.397 0.728
H 0.634 0.649 0.557
H 0.634 0.851 0.057
H 0.640 0.694 0.797
H 0.640 0.806 0.297
H 0.655 0.038 0.822
H 0.655 0.462 0.322
H 0.671 0.531 0.071
H 0.671 0.969 0.571
H 0.690 0.066 0.063
H 0.690 0.434 0.563
H 0.700 0.077 0.412
H 0.700 0.423 0.912
H 0.709 0.646 0.672
H 0.709 0.854 0.172
H 0.724 0.176 0.016
H 0.724 0.324 0.516
H 0.757 0.095 0.587
H 0.757 0.405 0.087
H 0.761 0.614 0.211
H 0.761 0.886 0.711
H 0.782 0.124 0.895
H 0.782 0.376 0.395
H 0.798 0.521 0.369
H 0.798 0.979 0.869
H 0.826 0.506 0.940
H 0.826 0.994 0.440
H 0.842 0.111 0.508
H 0.842 0.389 0.008
H 0.863 0.152 0.341
H 0.863 0.348 0.841
H 0.863 0.729 0.265
H 0.863 0.771 0.765
H 0.885 0.060 0.277
H 0.885 0.173 0.772
H 0.885 0.327 0.272
H 0.885 0.440 0.777
H 0.894 0.218 0.209
H 0.894 0.282 0.709
H 0.896 0.607 0.225
H 0.896 0.893 0.725
H 0.933 0.520 0.636
H 0.933 0.980 0.136
H 0.949 0.079 0.073
H 0.949 0.421 0.573
H 0.973 0.573 0.570
H 0.973 0.927 0.070
H 0.976 0.044 0.392
H 0.976 0.456 0.892
H 0.994 0.672 0.734
H 0.994 0.828 0.234
C 0.053 0.729 0.730
C 0.053 0.771 0.230
C 0.069 0.608 0.161
C 0.069 0.892 0.661
C 0.082 0.010 0.926
C 0.082 0.490 0.426
C 0.173 0.166 0.289
C 0.173 0.334 0.789
C 0.216 0.539 0.034
C 0.216 0.961 0.534
C 0.254 0.534 0.618
C 0.254 0.966 0.118
C 0.300 0.525 0.959
C 0.300 0.975 0.459
C 0.318 0.590 0.496
C 0.318 0.910 0.996
C 0.325 0.203 0.885
C 0.325 0.297 0.385
C 0.424 0.236 0.221
C 0.424 0.264 0.721
C 0.459 0.573 0.331
C 0.459 0.927 0.831
C 0.492 0.675 0.884
C 0.492 0.825 0.384
C 0.508 0.175 0.616
C 0.508 0.325 0.116
C 0.541 0.073 0.169
C 0.541 0.427 0.669
C 0.576 0.736 0.279
C 0.576 0.764 0.779
C 0.675 0.703 0.615
C 0.675 0.797 0.115
C 0.682 0.090 0.004
C 0.682 0.410 0.504
C 0.700 0.025 0.541
C 0.700 0.475 0.041
C 0.746 0.034 0.882
C 0.746 0.466 0.382
C 0.784 0.039 0.466
C 0.784 0.461 0.966
C 0.827 0.666 0.211
C 0.827 0.834 0.711
C 0.918 0.510 0.574
C 0.918 0.990 0.074
C 0.931 0.108 0.339
C 0.931 0.392 0.839
C 0.947 0.229 0.770
C 0.947 0.271 0.270
N 0.012 0.194 0.344
N 0.012 0.306 0.844
N 0.229 0.227 0.372
N 0.229 0.273 0.872
N 0.238 0.042 0.486
N 0.238 0.458 0.986
N 0.294 0.165 0.032
N 0.294 0.335 0.532
N 0.706 0.665 0.468
N 0.706 0.835 0.968
N 0.762 0.542 0.014
N 0.762 0.958 0.514
N 0.771 0.727 0.128
N 0.771 0.773 0.628
N 0.988 0.694 0.156
N 0.988 0.806 0.656
Cl 0.099 0.208 0.536
Cl 0.099 0.292 0.036
Cl 0.901 0.708 0.964
Cl 0.901 0.792 0.464



Record 2
## ErCuSn (GGA-PBE)

Data for a relaxed structure of ErCuSn.

Lattice parameters (Å, degrees): 4.514 4.514 7.200 90.00 90.00 120.00
Atoms (fractional coordinates):
Er 0.000 0.000 0.000
Er 0.000 0.000 0.500
Cu 0.333 0.667 0.324
Cu 0.667 0.333 0.824
Sn 0.333 0.667 0.730
Sn 0.667 0.333 0.230



Record 3
## MgAl4H12O12 (GGA-PBE)

Data for a relaxed structure of MgAl4H12O12.

Its polymorph energy (0 for the lowest one) is 0.17 kcal/mol of atoms.

Lattice parameters (Å, degrees): 5.219 7.165 7.201 78.15 69.19 68.95
Atoms (fractional coordinates):
Mg 0.000 0.000 0.000
Al 0.073 0.570 0.241
Al 0.108 0.228 0.559
Al 0.581 0.738 0.071
Al 0.637 0.068 0.714
H 0.163 0.828 0.386
H 0.210 0.379 0.793
H 0.339 0.122 0.092
H 0.389 0.859 0.619
H 0.407 0.575 0.873
H 0.516 0.264 0.237
H 0.654 0.895 0.330
H 0.665 0.497 0.525
H 0.804 0.194 0.182
H 0.848 0.368 0.129
H 0.873 0.691 0.711
H 0.881 0.129 0.345
O 0.280 0.707 0.313
O 0.298 0.304 0.282
O 0.329 0.658 0.984
O 0.335 0.314 0.671
O 0.375 0.022 0.001
O 0.437 0.984 0.573
O 0.775 0.829 0.205
O 0.807 0.794 0.802
O 0.849 0.171 0.797
O 0.857 0.503 0.509
O 0.878 0.504 0.097
O 0.936 0.077 0.471



Record 4
## SrH9ClO5 (GGA-PBE)

Data for a relaxed structure of SrH9ClO5.

Lattice parameters (Å, degrees): 5.964 7.459 7.754 89.65 72.17 87.78
Atoms (fractional coordinates):
Sr 0.176 0.458 0.215
Sr 0.824 0.542 0.785
H 0.097 0.788 0.960
H 0.119 0.187 0.705
H 0.137 0.788 0.472
H 0.296 0.670 0.820
H 0.307 0.304 0.555
H 0.314 0.678 0.552
H 0.364 0.312 0.819
H 0.454 0.795 0.102
H 0.459 0.177 0.328
H 0.541 0.823 0.672
H 0.546 0.205 0.898
H 0.636 0.688 0.181
H 0.686 0.322 0.448
H 0.693 0.696 0.445
H 0.704 0.330 0.180
H 0.863 0.212 0.528
H 0.881 0.813 0.295
H 0.903 0.212 0.040
Cl 0.156 0.006 0.218
Cl 0.844 0.994 0.782
O 0.144 0.662 0.927
O 0.173 0.666 0.504
O 0.198 0.303 0.687
O 0.461 0.323 0.905
O 0.477 0.303 0.353
O 0.523 0.697 0.647
O 0.539 0.677 0.095
O 0.802 0.697 0.313
O 0.827 0.334 0.496
O 0.856 0.338 0.073



Record 5
## CeCuSi2 (GGA-PBE)

Data for a relaxed structure of CeCuSi2.

Lattice parameters (Å, degrees): 4.205 16.424 4.115 90.00 90.00 90.00
Atoms (fractional coordinates):
Ce 0.000 0.104 0.250
Ce 0.000 0.896 0.750
Ce 0.500 0.396 0.750
Ce 0.500 0.604 0.250
Cu 0.000 0.321 0.250
Cu 0.000 0.679 0.750
Cu 0.500 0.179 0.750
Cu 0.500 0.821 0.250
Si 0.000 0.249 0.750
Si 0.000 0.464 0.250
Si 0.000 0.536 0.750
Si 0.000 0.751 0.250
Si 0.500 0.036 0.750
Si 0.500 0.251 0.250
Si 0.500 0.749 0.750
Si 0.500 0.964 0.250



Record 6
## La6Al4Fe9P (GGA-PBE)

Data for a relaxed structure of La6Al4Fe9P.

Lattice parameters (Å, degrees): 13.055 13.055 13.055 143.72 143.72 52.24
Atoms (fractional coordinates):
La 0.020 0.520 0.158
La 0.108 0.108 0.000
La 0.138 0.980 0.500
La 0.362 0.862 0.842
La 0.392 0.392 0.000
La 0.480 0.638 0.500
La 0.520 0.362 0.500
La 0.608 0.608 0.000
La 0.638 0.138 0.158
La 0.862 0.020 0.500
La 0.892 0.892 0.000
La 0.980 0.480 0.842
Al 0.026 0.289 0.500
Al 0.211 0.474 0.500
Al 0.289 0.789 0.263
Al 0.474 0.974 0.263
Al 0.526 0.026 0.737
Al 0.711 0.211 0.737
Al 0.789 0.526 0.500
Al 0.974 0.711 0.500
Fe 0.000 0.500 0.500
Fe 0.068 0.210 0.278
Fe 0.119 0.619 0.851
Fe 0.210 0.932 0.142
Fe 0.232 0.732 0.851
Fe 0.268 0.119 0.500
Fe 0.290 0.432 0.722
Fe 0.381 0.232 0.500
Fe 0.432 0.710 0.142
Fe 0.500 0.000 0.500
Fe 0.568 0.290 0.858
Fe 0.619 0.768 0.500
Fe 0.710 0.568 0.278
Fe 0.732 0.881 0.500
Fe 0.768 0.268 0.149
Fe 0.790 0.068 0.858
Fe 0.881 0.381 0.149
Fe 0.932 0.790 0.722
P 0.250 0.250 0.000
P 0.750 0.750 0.000



Record 7
## NaFeCuS2 (GGA-PBE)

Data for a relaxed structure of NaFeCuS2.

Lattice parameters (Å, degrees): 3.852 3.852 6.881 90.00 90.00 120.00
Atoms (fractional coordinates):
Na 0.000 0.000 0.000
Fe 0.667 0.333 0.394
Cu 0.333 0.667 0.627
S 0.333 0.667 0.278
S 0.667 0.333 0.733



Record 8
## CeSn2Rh (GGA-PBE)

Data for a relaxed structure of CeSn2Rh.

Lattice parameters (Å, degrees): 8.918 8.918 9.652 90.00 90.00 150.06
Atoms (fractional coordinates):
Ce 0.000 0.000 0.000
Ce 0.000 0.000 0.500
Ce 0.204 0.796 0.750
Ce 0.796 0.204 0.250
Sn 0.198 0.802 0.090
Sn 0.198 0.802 0.410
Sn 0.410 0.590 0.750
Sn 0.426 0.574 0.250
Sn 0.574 0.426 0.750
Sn 0.590 0.410 0.250
Sn 0.802 0.198 0.590
Sn 0.802 0.198 0.910
Rh 0.354 0.646 0.006
Rh 0.354 0.646 0.494
Rh 0.646 0.354 0.506
Rh 0.646 0.354 0.994



Record 9
## ZnNi2N2 (GGA-PBE)

Data for a relaxed structure of ZnNi2N2.

Lattice parameters (Å, degrees): 3.485 3.485 5.136 90.00 90.00 90.00
Atoms (fractional coordinates):
Zn 0.000 0.000 0.000
Ni 0.500 0.500 0.270
Ni 0.500 0.500 0.730
N 0.000 0.500 0.756
N 0.500 0.000 0.244



Record 10
## Na2TiN2 (GGA-PBE)

Data for a relaxed structure of Na2TiN2.

Lattice parameters (Å, degrees): 3.137 3.137 8.847 90.00 90.00 120.00
Atoms (fractional coordinates):
Na 0.333 0.667 0.208
Na 0.667 0.333 0.792
Ti 0.000 0.000 0.500
N 0.333 0.667 0.621
N 0.667 0.333 0.379



Table of E_tot (eV per atom), in record order: -5.430; -4.816; -5.726; -4.982; -5.798; -6.628; -4.950; -6.023; -5.428; -6.010
Table of ΔE_f (eV per atom), in record order: -0.248; -0.591; -1.988; -1.521; -0.542; -0.316; -0.718; -0.693; 0.327; -0.712